A) The following is a DFT calculation (PBE-GGA) of crystalline Ta2Zn4O9 at its relaxed geometry.

The structure in POSCAR format:
```
Ta2Zn4O9
1.0
5.261 0.000 0.000
0.000 9.466 0.000
0.000 8.896 13.312
O Zn Ta
36 16 8
Cartesian
1.685 5.239 1.776
1.679 5.787 7.891
1.777 8.929 12.112
0.904 6.828 3.906
1.953 15.611 12.492
0.952 1.339 1.235
4.664 4.377 2.974
0.895 7.268 10.026
3.308 2.750 0.820
3.484 9.433 1.200
0.597 13.985 10.337
0.870 12.567 12.820
3.576 13.123 11.536
4.408 13.881 7.856
3.501 10.243 7.147
4.309 17.023 12.077
0.853 4.481 5.456
3.227 8.824 9.630
3.287 5.921 5.134
3.525 15.542 9.942
1.735 2.820 3.370
0.677 11.164 5.836
3.534 7.086 2.749
1.974 12.441 8.178
0.657 7.993 1.522
4.604 10.369 11.790
4.357 11.534 9.405
4.584 7.198 7.475
1.726 11.275 10.562
4.366 11.094 3.286
4.315 8.675 4.880
3.582 12.575 5.421
1.760 8.119 6.164
2.033 9.537 3.682
4.391 5.795 0.491
0.946 9.687 8.432
2.636 10.718 12.329
2.624 7.643 0.983
2.687 4.657 3.497
0.006 12.091 7.639
2.630 4.733 0.000
0.056 9.257 3.159
5.255 6.270 5.673
2.630 4.448 6.656
0.000 0.000 0.000
2.631 10.761 5.408
2.574 13.704 9.815
5.260 15.208 12.064
0.001 3.153 1.248
5.204 9.105 10.153
2.630 7.601 7.904
0.000 9.181 6.656
2.597 16.931 11.181
2.575 10.663 8.800
0.055 6.215 2.144
2.685 7.699 4.512
0.033 12.483 4.525
5.206 12.147 11.167
5.227 5.878 8.787
2.664 1.430 2.131
```

Summary:
Space group: No. 14



B) The following is a DFT calculation (PBE-GGA) of crystalline Ta2Zn4O9 at its relaxed geometry.

The structure in POSCAR format:
```
Ta2Zn4O9
1.0
-2.251 -3.883 -7.644
-0.851 -8.917 -0.221
-10.236 0.481 2.239
O Zn Ta
36 16 8
Cartesian
-4.883 -2.194 -2.289
-10.323 -6.574 -4.299
-11.171 -2.987 -3.912
-7.668 -7.053 -3.150
-3.368 -4.209 -3.782
-5.669 -5.266 -2.476
-10.586 -6.728 1.059
-10.804 -9.391 -4.150
-6.118 -3.582 -4.966
-8.204 -5.662 -0.366
-7.971 -5.390 -5.756
-2.165 -9.332 -1.714
-3.412 -8.619 -6.584
-3.241 -10.097 -4.013
-7.626 -2.861 -0.269
-7.219 -8.737 -0.660
-8.525 -8.324 -5.478
-10.791 -4.920 -1.485
-5.711 -9.458 -5.357
-4.812 -3.995 -0.148
-2.546 -7.399 -4.141
-10.096 -2.222 -1.613
-4.853 -8.425 -2.856
-9.969 -8.109 -1.844
-8.820 -0.367 1.186
-9.588 -11.630 -5.600
-5.366 -6.929 0.130
-4.516 -11.952 -6.812
-5.133 -6.657 -5.260
-3.013 -5.745 -1.327
-8.483 -3.894 -2.770
-2.751 -5.591 -6.685
-3.749 -0.689 -0.026
-2.532 -2.928 -1.476
-9.925 -3.700 0.958
-8.454 -10.125 -3.337
-12.279 -9.125 -5.393
-1.881 -3.098 -4.312
-6.413 -5.175 0.367
-11.456 -9.221 -1.314
-4.395 -4.702 -5.427
-1.715 -6.556 -2.536
-6.663 -1.580 -1.342
-6.924 -7.144 -5.993
-6.674 -10.739 -4.284
-11.622 -5.763 -3.090
-8.942 -7.617 -0.199
-6.105 -7.204 -1.898
-1.058 -3.194 -0.233
-5.609 -10.354 -7.148
-7.232 -5.114 -3.728
-7.728 -1.965 1.522
0.000 0.000 0.000
-5.118 0.240 1.119
-4.150 -8.288 -4.842
-9.213 -8.025 -3.694
-9.187 -4.031 -0.784
-3.175 -1.094 -1.803
-4.124 -4.294 -1.932
-10.161 -11.225 -3.822
```

Summary:
Space group: No. 2



C) The following is a DFT calculation (PBE-GGA) of crystalline Ta2Zn4O9 at its relaxed geometry.

The structure in POSCAR format:
```
Ta2Zn4O9
1.0
-0.359 -4.183 -3.107
0.801 -5.434 7.223
-14.421 0.032 1.622
Ta Zn O
8 16 36
Cartesian
-9.039 -4.901 3.220
-8.488 -5.331 8.125
-1.826 -4.886 2.432
-1.634 -9.498 4.230
-5.491 -4.254 -2.386
-12.345 -0.086 1.509
-12.153 -4.699 3.307
-4.940 -4.683 2.519
-7.240 -5.971 0.167
0.118 -7.745 1.705
-10.119 -2.973 0.755
-4.177 -7.769 2.189
0.439 -6.612 4.533
-7.202 -2.921 0.445
-11.031 -3.595 6.088
-3.860 -6.612 4.984
-11.073 -6.620 5.776
-6.740 -3.614 5.572
-2.948 -5.989 -0.349
-14.418 -2.972 1.206
-14.097 -1.840 4.034
-9.802 -1.815 3.550
-6.778 -6.664 5.294
-2.906 -2.964 -0.037
-10.919 -1.177 0.325
-5.457 -7.987 4.187
-0.702 -8.029 3.540
-1.138 -6.124 1.147
-12.764 -6.396 4.112
-3.538 -4.599 1.004
-13.323 -4.555 1.852
-8.522 -1.598 1.552
-1.348 -1.384 -0.819
-0.657 -5.030 3.887
-5.294 -6.738 6.845
-3.329 -6.151 3.070
-10.698 -5.986 2.383
-5.424 -4.903 4.422
-5.863 -6.182 1.772
-3.530 -1.343 1.010
-12.842 -3.461 4.592
-1.541 -4.288 -1.245
-6.308 -4.393 -0.708
-10.441 -4.986 4.735
-2.978 -5.224 6.171
-13.277 -1.556 2.199
-11.001 -4.361 -0.432
-12.439 -5.297 6.984
-3.861 -2.974 -1.809
-7.984 -6.375 3.687
-10.449 -8.242 4.729
-8.686 -2.846 -1.106
-5.995 -3.209 2.052
-12.631 -8.200 6.559
-3.281 -3.599 3.356
-8.116 -3.403 3.967
-10.650 -3.433 2.669
-8.555 -4.681 1.317
-1.215 -3.188 1.627
-7.671 -5.192 6.447
```

Summary:
Space group: No. 60



Stability verdict: B), ahead by 18 meV per atom



A) The following is a DFT calculation (PBE-GGA) of crystalline Tb2Te4O11 at its relaxed geometry.

The structure in POSCAR format:
```
Tb2Te4O11
1.0
4.361 -5.087 -1.035
5.975 -0.626 -3.142
10.985 1.710 12.035
O Te Tb
22 8 4
Cartesian
8.816 -3.427 4.503
9.976 -1.952 2.498
13.356 -0.248 10.278
10.592 0.323 9.519
10.730 -4.327 -1.660
7.966 -3.756 -2.420
8.486 -0.850 0.174
15.572 0.919 8.872
5.750 -4.923 -1.013
16.041 -3.974 4.594
17.207 -3.060 7.519
15.213 -1.803 8.849
4.115 -0.944 0.339
6.108 -2.201 -0.991
11.346 -2.052 5.360
8.007 -0.705 4.073
12.836 -3.154 7.684
12.506 -0.577 3.356
5.281 -0.030 3.264
9.402 -0.658 6.625
11.920 -3.346 1.233
13.315 -3.299 3.786
6.452 -0.839 0.335
14.869 -3.165 7.523
13.796 0.346 8.523
13.720 -1.556 4.437
11.230 -1.960 7.286
10.092 -2.044 0.572
7.525 -4.350 -0.665
7.602 -2.448 3.422
3.944 -3.228 -0.616
17.378 -0.775 8.475
10.244 -0.143 4.348
11.078 -3.861 3.511
```

Summary:
Space group: No. 15



B) The following is a DFT calculation (PBE-GGA) of crystalline Tb2Te4O11 at its relaxed geometry.

The structure in POSCAR format:
```
Tb2Te4O11
1.0
2.595 6.264 0.000
-2.595 6.264 0.000
0.000 8.255 15.817
O Te Tb
22 8 4
Cartesian
0.846 9.227 1.541
1.589 15.084 13.863
1.020 4.253 2.620
0.681 2.117 0.647
-1.634 10.984 5.910
-0.853 13.421 9.461
-1.651 5.662 1.971
1.809 12.508 15.103
-0.890 11.466 14.325
0.693 14.584 7.230
1.133 10.130 7.112
-1.038 14.250 14.946
1.077 12.376 5.289
-1.033 16.543 13.088
1.042 6.547 0.898
1.618 9.800 9.943
0.828 7.343 6.343
1.801 12.468 8.674
-0.556 8.281 3.971
0.533 12.479 11.808
-0.930 8.408 10.526
-1.081 10.642 8.807
0.165 10.022 3.081
-2.354 11.323 9.889
-2.347 13.480 13.824
2.374 7.227 2.024
-0.182 14.179 10.983
2.479 9.364 5.978
0.115 6.588 4.753
-0.080 10.743 12.742
-0.044 12.135 7.262
0.048 4.521 0.539
0.009 8.511 8.525
-0.031 16.347 15.279
```

Summary:
Space group: No. 1



Stability verdict: A), ahead by 51 meV per atom



A) The following is a DFT calculation (PBE-GGA) of crystalline TeO3 at its relaxed geometry.

The structure in POSCAR format:
```
TeO3
1.0
-0.247 1.047 -4.691
5.452 -6.062 -1.641
-9.129 -7.865 -1.275
O Te
24 8
Cartesian
-4.037 -3.412 -2.964
-1.649 -11.605 -3.901
-2.643 -10.584 -5.785
-1.592 -4.104 -4.250
-4.671 -7.582 -2.539
-8.517 -8.030 -2.522
-4.352 -7.924 -5.405
-4.359 -11.574 -3.899
-1.687 -6.894 -5.098
-2.233 -6.009 -2.402
0.403 -1.175 -4.297
-4.016 -5.269 -4.979
2.390 -2.624 -5.595
0.411 -4.887 -2.510
-1.268 -2.357 -1.552
0.060 -7.479 -3.218
-7.084 -7.005 -4.608
-2.305 -8.897 -2.814
-2.292 -1.206 -4.014
-6.434 -9.755 -4.253
-0.006 -8.967 -6.885
3.188 -5.996 -2.455
0.760 -5.359 -4.798
4.598 -4.874 -4.978
-2.982 -12.343 -5.073
2.837 -4.021 -2.756
-3.017 -7.623 -1.548
-6.809 -8.658 -5.752
-0.785 -5.778 -3.723
-3.429 -3.409 -4.758
-0.819 -1.059 -0.198
-0.544 -9.270 -3.750
```

Summary:
Space group: No. 33



B) The following is a DFT calculation (PBE-GGA) of crystalline TeO3 at its relaxed geometry.

The structure in POSCAR format:
```
TeO3
1.0
-4.837 1.164 1.153
-1.224 -5.129 0.046
1.635 -0.325 7.185
O Te
12 4
Cartesian
-4.072 -2.731 4.135
-0.213 -0.048 1.939
0.268 -1.683 6.982
-3.443 -0.197 1.228
-0.983 -4.093 7.157
-2.053 -2.317 2.255
-0.354 -1.559 4.250
-4.213 -4.242 6.446
-2.373 -1.973 6.130
-2.821 -0.321 3.960
-1.605 -3.970 4.425
-4.693 -2.608 1.403
-2.213 -2.145 4.192
0.000 0.000 0.000
-3.030 -1.982 0.600
0.817 -0.163 3.593
```

Summary:
Space group: No. 62



Stability verdict: B), ahead by 283 meV per atom



A) The following is a DFT calculation (PBE-GGA) of crystalline TeO3 at its relaxed geometry.

The structure in POSCAR format:
```
TeO3
1.0
-1.214 4.807 1.374
-7.482 -2.432 1.900
2.914 -1.861 9.089
O Te
24 8
Cartesian
-4.681 -0.055 7.399
-3.395 -0.311 3.667
-5.229 1.803 5.369
-3.010 -1.608 6.099
-6.118 0.882 2.849
1.434 1.175 9.924
-1.372 -3.154 10.189
0.310 1.393 5.397
-2.559 1.281 6.024
-0.709 -0.982 4.521
-6.015 -0.870 4.794
-5.531 -3.101 6.331
-0.284 3.323 3.331
-5.594 -2.431 9.140
-2.936 -1.273 8.927
-3.849 1.446 1.539
-2.483 1.204 8.804
-3.129 2.909 3.757
-0.050 2.505 7.889
0.727 -1.920 9.070
-0.786 -0.367 7.258
-1.286 0.875 2.470
-7.004 -1.502 2.199
-4.729 0.562 10.156
-2.715 -0.128 7.349
-2.807 -0.186 1.794
-2.825 0.103 10.398
1.146 3.027 9.354
0.588 -0.487 5.846
-3.632 2.878 5.653
-6.220 0.404 6.346
-7.493 -0.277 3.648
```

Summary:
Space group: No. 33



B) The following is a DFT calculation (PBE-GGA) of crystalline TeO3 at its relaxed geometry.

The structure in POSCAR format:
```
TeO3
1.0
-0.576 2.338 4.297
-4.822 -1.954 0.416
3.085 -6.743 4.083
O Te
12 4
Cartesian
0.296 -5.232 4.298
-0.538 1.217 3.712
-0.320 -5.508 7.400
-1.993 -0.851 1.397
-2.905 -5.025 3.967
-1.775 -7.575 5.085
-2.609 -1.127 4.498
-0.949 -3.052 3.156
0.592 -1.334 4.830
1.344 -3.522 6.332
-3.657 -2.837 2.465
-1.364 -3.306 5.641
-3.331 -2.089 0.690
0.334 -3.315 4.672
1.594 -6.608 3.809
-2.647 -3.044 4.125
```

Summary:
Space group: No. 52



C) The following is a DFT calculation (PBE-GGA) of crystalline TeO3 at its relaxed geometry.

The structure in POSCAR format:
```
TeO3
1.0
4.541 2.620 0.000
-4.541 2.620 0.000
0.000 1.407 5.195
O Te
6 2
Cartesian
1.719 2.399 4.090
-1.719 2.399 4.090
-1.719 4.247 1.104
0.000 1.983 1.105
1.719 4.247 1.104
0.000 4.664 4.089
-1.514 2.620 0.000
1.514 2.620 0.000
```

Summary:
Space group: No. 12



Stability verdict: C), ahead by 21 meV per atom